1.
# GGA-PBE BaEuYSnO6, relaxed
# offset from the most stable computed form = 0.000 eV/atom
# E_form = -3.01 eV/atom
# crystal system = orthorhombic
# calculated volume = 618.3 Å³/cell
data_BaEuYSnO6
_chemical_formula_sum 'Ba4 Eu4 Y4 Sn4 O24'
_cell_length_a 8.523
_cell_length_b 8.447
_cell_length_c 8.588
_cell_angle_alpha 90.00
_cell_angle_beta 90.00
_cell_angle_gamma 90.00
_space_group_name_H-M_alt 'P 1'
_space_group_IT_number 1
_space_group_name_Hall 'P 1'
loop_
_atom_site_label
_atom_site_fract_x
_atom_site_fract_y
_atom_site_fract_z
Ba1 0.000 0.000 0.000
Ba2 0.500 0.500 0.500
Ba3 0.000 0.500 0.500
Ba4 0.500 0.000 0.000
Eu1 0.500 0.000 0.500
Eu2 0.500 0.500 0.000
Eu3 0.000 0.500 0.000
Eu4 0.000 0.000 0.500
Y1 0.250 0.250 0.250
Y2 0.750 0.750 0.250
Y3 0.750 0.250 0.750
Y4 0.250 0.750 0.750
Sn1 0.750 0.750 0.750
Sn2 0.250 0.250 0.750
Sn3 0.250 0.750 0.250
Sn4 0.750 0.250 0.250
O1 0.991 0.199 0.298
O2 0.009 0.801 0.298
O3 0.009 0.199 0.702
O4 0.991 0.801 0.702
O5 0.282 0.990 0.219
O6 0.282 0.010 0.781
O7 0.718 0.010 0.219
O8 0.718 0.990 0.781
O9 0.198 0.296 0.991
O10 0.802 0.296 0.009
O11 0.198 0.704 0.009
O12 0.802 0.704 0.991
O13 0.509 0.301 0.202
O14 0.491 0.699 0.202
O15 0.491 0.301 0.798
O16 0.509 0.699 0.798
O17 0.218 0.510 0.281
O18 0.218 0.490 0.719
O19 0.782 0.490 0.281
O20 0.782 0.510 0.719
O21 0.302 0.204 0.509
O22 0.698 0.204 0.491
O23 0.302 0.796 0.491
O24 0.698 0.796 0.509

2.
# GGA-PBE SmB3O6, relaxed
# offset from the most stable computed form = 0.016 eV/atom
# E_form = -3.17 eV/atom
# crystal system = monoclinic
# calculated volume = 204.1 Å³/cell
data_SmB3O6
_chemical_formula_sum 'Sm2 B6 O12'
_cell_length_a 6.385
_cell_length_b 6.385
_cell_length_c 6.360
_cell_angle_alpha 62.56
_cell_angle_beta 62.56
_cell_angle_gamma 79.18
_space_group_name_H-M_alt 'P 1'
_space_group_IT_number 1
_space_group_name_Hall 'P 1'
loop_
_atom_site_label
_atom_site_fract_x
_atom_site_fract_y
_atom_site_fract_z
Sm1 0.796 0.204 0.250
Sm2 0.204 0.796 0.750
B1 0.339 0.207 0.088
B2 0.793 0.661 0.412
B3 0.223 0.777 0.250
B4 0.777 0.223 0.750
B5 0.661 0.793 0.912
B6 0.207 0.339 0.588
O1 0.217 0.991 0.292
O2 0.417 0.786 0.006
O3 0.214 0.583 0.494
O4 0.583 0.214 0.994
O5 0.387 0.206 0.507
O6 0.794 0.613 0.993
O7 0.613 0.794 0.493
O8 0.206 0.387 0.007
O9 0.783 0.009 0.708
O10 0.991 0.217 0.792
O11 0.786 0.417 0.506
O12 0.009 0.783 0.208

3.
# GGA-PBE CaBeSi, relaxed
# E_form = -0.30 eV/atom
# crystal system = hexagonal
# calculated volume = 57.1 Å³/cell
data_CaBeSi
_chemical_formula_sum 'Ca1 Be1 Si1'
_cell_length_a 3.915
_cell_length_b 3.915
_cell_length_c 4.300
_cell_angle_alpha 90.00
_cell_angle_beta 90.00
_cell_angle_gamma 120.00
_space_group_name_H-M_alt 'P 1'
_space_group_IT_number 1
_space_group_name_Hall 'P 1'
loop_
_atom_site_label
_atom_site_fract_x
_atom_site_fract_y
_atom_site_fract_z
Ca1 0.333 0.667 0.000
Be1 0.667 0.333 0.500
Si1 0.000 0.000 0.500

4.
# GGA-PBE CeHC3O6, relaxed
# E_form = -2.02 eV/atom
# crystal system = orthorhombic
# calculated volume = 555.3 Å³/cell
data_CeHC3O6
_chemical_formula_sum 'Ce4 H4 C12 O24'
_cell_length_a 6.807
_cell_length_b 7.481
_cell_length_c 10.906
_cell_angle_alpha 90.00
_cell_angle_beta 90.00
_cell_angle_gamma 90.00
_space_group_name_H-M_alt 'P 1'
_space_group_IT_number 1
_space_group_name_Hall 'P 1'
loop_
_atom_site_label
_atom_site_fract_x
_atom_site_fract_y
_atom_site_fract_z
Ce1 0.630 0.295 0.536
Ce2 0.370 0.705 0.036
Ce3 0.130 0.205 0.036
Ce4 0.870 0.795 0.536
H1 0.381 0.729 0.540
H2 0.619 0.271 0.040
H3 0.881 0.771 0.040
H4 0.119 0.229 0.540
C1 0.373 0.876 0.539
C2 0.627 0.124 0.039
C3 0.873 0.624 0.039
C4 0.127 0.376 0.539
C5 0.454 0.410 0.808
C6 0.546 0.590 0.308
C7 0.954 0.090 0.308
C8 0.046 0.910 0.808
C9 0.452 0.413 0.265
C10 0.548 0.587 0.765
C11 0.952 0.087 0.765
C12 0.048 0.913 0.265
O1 0.537 0.961 0.537
O2 0.463 0.039 0.037
O3 0.037 0.539 0.037
O4 0.963 0.461 0.537
O5 0.854 0.081 0.407
O6 0.146 0.919 0.907
O7 0.354 0.419 0.907
O8 0.646 0.581 0.407
O9 0.858 0.080 0.663
O10 0.142 0.920 0.163
O11 0.358 0.420 0.163
O12 0.642 0.580 0.663
O13 0.485 0.271 0.745
O14 0.515 0.729 0.245
O15 0.985 0.229 0.245
O16 0.015 0.771 0.745
O17 0.206 0.948 0.540
O18 0.794 0.052 0.040
O19 0.706 0.552 0.040
O20 0.294 0.448 0.540
O21 0.474 0.277 0.330
O22 0.526 0.723 0.830
O23 0.974 0.223 0.830
O24 0.026 0.777 0.330

5.
# GGA-PBE Mg6ZnBi, relaxed
# offset from the most stable computed form = 0.006 eV/atom
# E_form = -0.01 eV/atom
# calculated volume = 368.3 Å³/cell
data_Mg6ZnBi
_chemical_formula_sum 'Mg12 Zn2 Bi2'
_cell_length_a 5.304
_cell_length_b 6.416
_cell_length_c 10.823
_cell_angle_alpha 90.00
_cell_angle_beta 90.00
_cell_angle_gamma 90.00
_space_group_name_H-M_alt 'P 1'
_space_group_IT_number 1
_space_group_name_Hall 'P 1'
loop_
_atom_site_label
_atom_site_fract_x
_atom_site_fract_y
_atom_site_fract_z
Mg1 0.500 0.249 0.584
Mg2 0.500 0.751 0.584
Mg3 0.000 0.257 0.417
Mg4 0.000 0.743 0.417
Mg5 0.000 0.000 0.669
Mg6 0.000 0.000 0.164
Mg7 0.500 0.749 0.084
Mg8 0.500 0.251 0.084
Mg9 0.000 0.757 0.917
Mg10 0.000 0.243 0.917
Mg11 0.000 0.500 0.169
Mg12 0.000 0.500 0.664
Zn1 0.500 0.000 0.832
Zn2 0.500 0.500 0.332
Bi1 0.500 0.000 0.334
Bi2 0.500 0.500 0.834

6.
# GGA-PBE ErInPt2, relaxed
# E_form = -0.92 eV/atom
# crystal system = cubic
# calculated volume = 77.4 Å³/cell
data_ErInPt2
_chemical_formula_sum 'Er1 In1 Pt2'
_cell_length_a 4.783
_cell_length_b 4.783
_cell_length_c 4.783
_cell_angle_alpha 60.00
_cell_angle_beta 60.00
_cell_angle_gamma 60.00
_space_group_name_H-M_alt 'P 1'
_space_group_IT_number 1
_space_group_name_Hall 'P 1'
loop_
_atom_site_label
_atom_site_fract_x
_atom_site_fract_y
_atom_site_fract_z
Er1 0.500 0.500 0.500
In1 0.000 0.000 0.000
Pt1 0.250 0.250 0.250
Pt2 0.750 0.750 0.750